## A
CuH12N2O2F4 | GGA-PBE | optimized geometry

a = 7.325 Å, b = 6.790 Å, c = 28.748 Å
α = 90.00°, β = 100.92°, γ = 90.00°
Element x y z (fractional)
1 Cu 0.166 0.073 0.311
2 Cu 0.166 0.427 0.811
3 Cu 0.192 0.246 0.562
4 Cu 0.192 0.254 0.062
5 Cu 0.808 0.746 0.938
6 Cu 0.808 0.754 0.438
7 Cu 0.834 0.573 0.189
8 Cu 0.834 0.927 0.689
9 H 0.091 0.182 0.224
10 H 0.091 0.318 0.724
11 H 0.092 0.124 0.476
12 H 0.092 0.376 0.976
13 H 0.092 0.553 0.725
14 H 0.092 0.947 0.225
15 H 0.111 0.140 0.975
16 H 0.111 0.360 0.475
17 H 0.140 0.721 0.649
18 H 0.140 0.779 0.149
19 H 0.146 0.078 0.396
20 H 0.146 0.422 0.896
21 H 0.156 0.215 0.650
22 H 0.156 0.285 0.150
23 H 0.163 0.562 0.398
24 H 0.163 0.938 0.898
25 H 0.200 0.510 0.230
26 H 0.200 0.990 0.730
27 H 0.201 0.639 0.105
28 H 0.201 0.861 0.605
29 H 0.227 0.745 0.475
30 H 0.227 0.755 0.975
31 H 0.239 0.587 0.345
32 H 0.239 0.913 0.845
33 H 0.240 0.617 0.606
34 H 0.240 0.883 0.106
35 H 0.254 0.131 0.875
36 H 0.254 0.369 0.375
37 H 0.349 0.666 0.267
38 H 0.349 0.834 0.767
39 H 0.360 0.625 0.521
40 H 0.360 0.875 0.021
41 H 0.365 0.739 0.148
42 H 0.365 0.761 0.648
43 H 0.375 0.215 0.648
44 H 0.375 0.285 0.148
45 H 0.376 0.629 0.019
46 H 0.376 0.871 0.519
47 H 0.377 0.062 0.401
48 H 0.377 0.089 0.772
49 H 0.377 0.411 0.272
50 H 0.377 0.438 0.901
51 H 0.395 0.556 0.397
52 H 0.395 0.944 0.897
53 H 0.459 0.736 0.479
54 H 0.459 0.764 0.979
55 H 0.467 0.025 0.308
56 H 0.467 0.475 0.808
57 H 0.533 0.525 0.192
58 H 0.533 0.975 0.692
59 H 0.541 0.236 0.021
60 H 0.541 0.264 0.521
61 H 0.605 0.056 0.103
62 H 0.605 0.444 0.603
63 H 0.623 0.562 0.099
64 H 0.623 0.589 0.728
65 H 0.623 0.911 0.228
66 H 0.623 0.938 0.599
67 H 0.624 0.129 0.481
68 H 0.624 0.371 0.981
69 H 0.625 0.715 0.852
70 H 0.625 0.785 0.352
71 H 0.635 0.239 0.352
72 H 0.635 0.261 0.852
73 H 0.640 0.125 0.979
74 H 0.640 0.375 0.479
75 H 0.651 0.166 0.233
76 H 0.651 0.334 0.733
77 H 0.746 0.631 0.625
78 H 0.746 0.869 0.125
79 H 0.760 0.117 0.894
80 H 0.760 0.383 0.394
81 H 0.761 0.087 0.155
82 H 0.761 0.413 0.655
83 H 0.773 0.245 0.025
84 H 0.773 0.255 0.525
85 H 0.799 0.139 0.395
86 H 0.799 0.361 0.895
87 H 0.800 0.010 0.270
88 H 0.800 0.490 0.770
89 H 0.837 0.062 0.102
90 H 0.837 0.438 0.602
91 H 0.844 0.715 0.850
92 H 0.844 0.785 0.350
93 H 0.854 0.578 0.104
94 H 0.854 0.922 0.604
95 H 0.860 0.221 0.851
96 H 0.860 0.279 0.351
97 H 0.889 0.640 0.525
98 H 0.889 0.860 0.025
99 H 0.908 0.053 0.775
100 H 0.908 0.447 0.275
101 H 0.908 0.624 0.024
102 H 0.908 0.876 0.524
103 H 0.909 0.682 0.276
104 H 0.909 0.818 0.776
105 N 0.236 0.740 0.626
106 N 0.236 0.760 0.126
107 N 0.263 0.522 0.378
108 N 0.263 0.978 0.878
109 N 0.312 0.530 0.256
110 N 0.312 0.970 0.756
111 N 0.354 0.747 0.498
112 N 0.354 0.753 0.998
113 N 0.646 0.247 0.002
114 N 0.646 0.253 0.502
115 N 0.688 0.030 0.244
116 N 0.688 0.470 0.744
117 N 0.737 0.022 0.122
118 N 0.737 0.478 0.622
119 N 0.764 0.240 0.874
120 N 0.764 0.260 0.374
121 O 0.145 0.067 0.243
122 O 0.145 0.433 0.743
123 O 0.164 0.236 0.493
124 O 0.164 0.264 0.993
125 O 0.246 0.116 0.380
126 O 0.246 0.384 0.880
127 O 0.251 0.237 0.131
128 O 0.251 0.263 0.631
129 O 0.749 0.737 0.369
130 O 0.749 0.763 0.869
131 O 0.754 0.616 0.120
132 O 0.754 0.884 0.620
133 O 0.836 0.736 0.007
134 O 0.836 0.764 0.507
135 O 0.855 0.567 0.257
136 O 0.855 0.933 0.757
137 F 0.010 0.029 0.564
138 F 0.010 0.471 0.064
139 F 0.015 0.164 0.681
140 F 0.015 0.336 0.181
141 F 0.022 0.708 0.689
142 F 0.022 0.792 0.189
143 F 0.043 0.529 0.444
144 F 0.043 0.971 0.944
145 F 0.390 0.050 0.061
146 F 0.390 0.450 0.561
147 F 0.439 0.636 0.815
148 F 0.439 0.864 0.315
149 F 0.463 0.197 0.309
150 F 0.463 0.303 0.809
151 F 0.472 0.502 0.071
152 F 0.472 0.998 0.571
153 F 0.528 0.002 0.429
154 F 0.528 0.498 0.929
155 F 0.537 0.697 0.191
156 F 0.537 0.803 0.691
157 F 0.561 0.136 0.685
158 F 0.561 0.364 0.185
159 F 0.610 0.550 0.439
160 F 0.610 0.950 0.939
161 F 0.957 0.029 0.056
162 F 0.957 0.471 0.556
163 F 0.978 0.208 0.811
164 F 0.978 0.292 0.311
165 F 0.985 0.664 0.819
166 F 0.985 0.836 0.319
167 F 0.990 0.529 0.936
168 F 0.990 0.971 0.436

***

## B
CuH12N2O2F4 | GGA-PBE | optimized geometry

a = 6.813 Å, b = 6.816 Å, c = 30.287 Å
α = 90.01°, β = 91.61°, γ = 90.00°
Element x y z (fractional)
1 Cu 0.000 0.000 0.000
2 Cu 0.023 0.309 0.624
3 Cu 0.260 0.193 0.250
4 Cu 0.283 0.502 0.874
5 Cu 0.500 0.002 0.500
6 Cu 0.523 0.693 0.124
7 Cu 0.760 0.809 0.750
8 Cu 0.783 0.500 0.374
9 H 0.000 0.684 0.579
10 H 0.009 0.201 0.718
11 H 0.014 0.433 0.717
12 H 0.023 0.376 0.044
13 H 0.028 0.127 0.908
14 H 0.030 0.623 0.043
15 H 0.033 0.842 0.212
16 H 0.033 0.894 0.909
17 H 0.045 0.927 0.583
18 H 0.064 0.596 0.207
19 H 0.119 0.957 0.091
20 H 0.127 0.002 0.791
21 H 0.127 0.008 0.455
22 H 0.128 0.269 0.531
23 H 0.135 0.751 0.708
24 H 0.140 0.703 0.334
25 H 0.143 0.798 0.541
26 H 0.148 0.750 0.167
27 H 0.155 0.233 0.343
28 H 0.156 0.493 0.419
29 H 0.156 0.500 0.083
30 H 0.164 0.545 0.784
31 H 0.219 0.906 0.667
32 H 0.239 0.574 0.291
33 H 0.250 0.608 0.965
34 H 0.250 0.659 0.663
35 H 0.253 0.879 0.832
36 H 0.255 0.374 0.967
37 H 0.261 0.126 0.830
38 H 0.269 0.069 0.157
39 H 0.274 0.301 0.156
40 H 0.283 0.817 0.295
41 H 0.291 0.623 0.458
42 H 0.303 0.376 0.457
43 H 0.375 0.994 0.790
44 H 0.379 0.789 0.702
45 H 0.382 0.011 0.959
46 H 0.386 0.669 0.334
47 H 0.388 0.035 0.593
48 H 0.388 0.233 0.342
49 H 0.395 0.733 0.032
50 H 0.396 0.535 0.781
51 H 0.397 0.169 0.041
52 H 0.401 0.511 0.415
53 H 0.404 0.289 0.672
54 H 0.408 0.494 0.584
55 H 0.480 0.876 0.918
56 H 0.492 0.123 0.916
57 H 0.500 0.317 0.079
58 H 0.510 0.801 0.218
59 H 0.515 0.569 0.217
60 H 0.523 0.626 0.544
61 H 0.528 0.875 0.408
62 H 0.530 0.379 0.543
63 H 0.533 0.107 0.409
64 H 0.533 0.159 0.712
65 H 0.545 0.074 0.083
66 H 0.564 0.406 0.707
67 H 0.619 0.045 0.591
68 H 0.627 0.000 0.291
69 H 0.627 0.993 0.955
70 H 0.628 0.732 0.031
71 H 0.635 0.250 0.208
72 H 0.640 0.298 0.834
73 H 0.643 0.203 0.041
74 H 0.648 0.251 0.667
75 H 0.655 0.769 0.843
76 H 0.656 0.502 0.583
77 H 0.656 0.508 0.919
78 H 0.664 0.457 0.284
79 H 0.719 0.096 0.167
80 H 0.738 0.427 0.791
81 H 0.750 0.342 0.163
82 H 0.750 0.394 0.465
83 H 0.753 0.123 0.332
84 H 0.755 0.627 0.467
85 H 0.761 0.876 0.330
86 H 0.769 0.932 0.657
87 H 0.773 0.701 0.656
88 H 0.783 0.184 0.795
89 H 0.791 0.379 0.958
90 H 0.803 0.626 0.957
91 H 0.875 0.007 0.290
92 H 0.879 0.213 0.202
93 H 0.882 0.990 0.460
94 H 0.886 0.333 0.833
95 H 0.888 0.768 0.842
96 H 0.888 0.966 0.094
97 H 0.895 0.268 0.532
98 H 0.895 0.466 0.281
99 H 0.897 0.832 0.541
100 H 0.901 0.490 0.915
101 H 0.904 0.713 0.172
102 H 0.908 0.507 0.084
103 H 0.980 0.126 0.418
104 H 0.992 0.879 0.416
105 N 0.022 0.812 0.561
106 N 0.028 0.502 0.063
107 N 0.038 0.724 0.189
108 N 0.245 0.777 0.685
109 N 0.255 0.999 0.811
110 N 0.261 0.690 0.313
111 N 0.288 0.501 0.437
112 N 0.495 0.001 0.937
113 N 0.522 0.190 0.061
114 N 0.528 0.499 0.563
115 N 0.538 0.277 0.689
116 N 0.745 0.224 0.185
117 N 0.755 0.002 0.311
118 N 0.761 0.312 0.813
119 N 0.788 0.500 0.937
120 N 0.995 0.000 0.437
121 O 0.016 0.308 0.549
122 O 0.051 0.315 0.699
123 O 0.232 0.187 0.175
124 O 0.267 0.193 0.325
125 O 0.284 0.498 0.800
126 O 0.285 0.490 0.948
127 O 0.498 0.990 0.427
128 O 0.499 0.998 0.574
129 O 0.516 0.693 0.049
130 O 0.551 0.687 0.200
131 O 0.732 0.815 0.675
132 O 0.767 0.808 0.825
133 O 0.784 0.504 0.300
134 O 0.785 0.512 0.448
135 O 0.999 0.003 0.075
136 O 0.999 0.012 0.926
137 F 0.030 0.013 0.250
138 F 0.067 0.308 0.872
139 F 0.080 0.424 0.247
140 F 0.085 0.716 0.874
141 F 0.200 0.784 0.000
142 F 0.203 0.078 0.627
143 F 0.217 0.195 0.003
144 F 0.253 0.489 0.625
145 F 0.290 0.203 0.495
146 F 0.293 0.874 0.126
147 F 0.300 0.784 0.500
148 F 0.340 0.464 0.120
149 F 0.442 0.965 0.254
150 F 0.482 0.284 0.874
151 F 0.489 0.373 0.249
152 F 0.492 0.702 0.879
153 F 0.529 0.989 0.750
154 F 0.566 0.695 0.372
155 F 0.579 0.577 0.747
156 F 0.584 0.284 0.374
157 F 0.699 0.217 0.500
158 F 0.704 0.925 0.127
159 F 0.717 0.807 0.503
160 F 0.754 0.512 0.125
161 F 0.790 0.798 0.995
162 F 0.794 0.128 0.626
163 F 0.799 0.218 0.000
164 F 0.841 0.536 0.620
165 F 0.943 0.037 0.754
166 F 0.984 0.718 0.374
167 F 0.989 0.628 0.749
168 F 0.993 0.298 0.379

***

Referenced to the most stable arrangement, the calculated values in kJ/mol of atoms are A 3.7; B 0.0.